(1)
LaZnCrCuO6 | GGA+U | optimized geometry

## Properties
The value obtained for the formation energy is -2.037 eV per atom. The calculation puts the total energy after the MP2020 corrections at -140.018 eV for the cell shown. For the total energy, the calculation gives -6.389 eV per atom. The calculation puts the magnetic moment at 4.00 μB per cell.

CIF file:
```
data_LaZnCrCuO6
_chemical_formula_sum 'La2 Zn2 Cr2 Cu2 O12'
_symmetry_space_group_name_H-M 'P 1 c 1'
_symmetry_Int_Tables_number 7
_cell_length_a 5.4322
_cell_length_b 5.4255
_cell_length_c 9.2930
_cell_angle_alpha 90.00
_cell_angle_beta 125.13
_cell_angle_gamma 90.00
loop_
_symmetry_equiv_pos_as_xyz
'x,y,z'
'x,-y,z+1/2'
loop_
_atom_site_label
_atom_site_fract_x
_atom_site_fract_y
_atom_site_fract_z
_atom_site_occupancy
La1 0.0000 0.2091 0.0000 1
Zn1 0.4949 0.2815 0.4876 1
Cr1 0.7604 0.2626 0.2476 1
Cu1 0.2606 0.2569 0.7528 1
O1 0.1319 0.2213 0.5016 1
O2 0.4273 0.3224 0.0048 1
O3 0.4852 0.0463 0.3062 1
O4 0.6108 0.4819 0.3231 1
O5 0.8350 0.0437 0.6914 1
O6 0.9881 0.4639 0.2073 1
```

---

(2)
MgV5Mo5O25 | GGA+U | optimized geometry

## Properties
Its energy above the most stable polymorph in this dataset is 0.008 eV per atom. The value obtained for the formation energy is -2.156 eV per atom. The calculation puts the total energy after the MP2020 corrections at -302.567 eV for the cell shown. For the total energy, the calculation gives -7.247 eV per atom. The calculation puts the magnetic moment at 6.99 μB per cell.

CIF file:
```
data_MgV5Mo5O25
_chemical_formula_sum 'Mg1 V5 Mo5 O25'
_symmetry_space_group_name_H-M 'P 1'
_symmetry_Int_Tables_number 1
_cell_length_a 5.5346
_cell_length_b 6.3874
_cell_length_c 14.1659
_cell_angle_alpha 77.87
_cell_angle_beta 81.75
_cell_angle_gamma 79.68
loop_
_symmetry_equiv_pos_as_xyz
'x,y,z'
loop_
_atom_site_label
_atom_site_fract_x
_atom_site_fract_y
_atom_site_fract_z
_atom_site_occupancy
Mg1 0.0000 0.0000 0.0000 1
V1 0.3112 0.3547 0.9403 1
V2 0.3801 0.7171 0.3778 1
V3 0.7714 0.7253 0.5721 1
V4 0.9028 0.3529 0.7544 1
V5 0.9346 0.7173 0.1948 1
Mo1 0.1480 0.3166 0.3472 1
Mo2 0.1524 0.7529 0.7705 1
Mo3 0.5061 0.7496 0.9936 1
Mo4 0.5378 0.3264 0.5518 1
Mo5 0.7332 0.3299 0.1436 1
O1 0.0255 0.7281 0.4951 1
O2 0.0360 0.0367 0.7666 1
O3 0.0567 0.3535 0.0254 1
O4 0.1434 0.4260 0.8239 1
O5 0.1525 0.6444 0.2996 1
O6 0.2019 0.7423 0.0855 1
O7 0.2480 0.0278 0.3637 1
O8 0.2708 0.3287 0.6320 1
O9 0.3246 0.6795 0.8898 1
O10 0.3402 0.0513 0.9450 1
O11 0.3868 0.3866 0.4244 1
O12 0.4042 0.7525 0.6839 1
O13 0.4857 0.3014 0.2341 1
O14 0.5319 0.6545 0.5000 1
O15 0.5581 0.4024 0.0283 1
O16 0.6399 0.7354 0.2999 1
O17 0.6458 0.0400 0.5594 1
O18 0.6628 0.3301 0.8402 1
O19 0.6947 0.6555 0.1180 1
O20 0.7625 0.3997 0.6275 1
O21 0.7989 0.8344 0.9398 1
O22 0.8392 0.0418 0.1368 1
O23 0.8907 0.3279 0.4328 1
O24 0.9025 0.6782 0.7057 1
O25 0.9745 0.3673 0.2284 1
```

---

(3)
MnH6O3F3 | GGA+U | optimized geometry

## Properties
The value obtained for the formation energy is -1.746 eV per atom. The calculation puts the total energy after the MP2020 corrections at -291.238 eV for the cell shown. For the total energy, the calculation gives -5.207 eV per atom. The calculation puts the magnetic moment at 16.00 μB per cell.

CIF file:
```
data_MnH6O3F3
_chemical_formula_sum 'Mn4 H24 O12 F12'
_symmetry_space_group_name_H-M 'P 1 21/c 1'
_symmetry_Int_Tables_number 14
_cell_length_a 8.4774
_cell_length_b 9.7397
_cell_length_c 6.4328
_cell_angle_alpha 90.00
_cell_angle_beta 98.20
_cell_angle_gamma 90.00
loop_
_symmetry_equiv_pos_as_xyz
'x,y,z'
'-x,-y,-z'
'-x,y+1/2,-z+1/2'
'x,-y+1/2,z+1/2'
loop_
_atom_site_label
_atom_site_fract_x
_atom_site_fract_y
_atom_site_fract_z
_atom_site_occupancy
Mn1 0.0000 0.0000 0.0000 1
Mn2 0.5000 0.0000 0.5000 1
H1 0.0119 0.1971 0.6882 1
H2 0.1316 0.5944 0.8919 1
H3 0.2405 0.5568 0.2914 1
H4 0.2850 0.1830 0.2900 1
H5 0.3061 0.5635 0.5428 1
H6 0.4477 0.2340 0.8249 1
O1 0.0307 0.6044 0.7944 1
O2 0.2100 0.5707 0.4340 1
O3 0.3873 0.1927 0.3834 1
F1 0.1003 0.1520 0.1404 1
F2 0.2974 0.5613 0.0593 1
F3 0.4569 0.5779 0.7269 1
```

---

(4)
Ba3VO5 | GGA+U | optimized geometry

## Properties
The value obtained for the formation energy is -2.894 eV per atom. The calculation puts the total energy after the MP2020 corrections at -262.509 eV for the cell shown. For the total energy, the calculation gives -6.721 eV per atom.

CIF file:
```
data_Ba3VO5
_chemical_formula_sum 'Ba12 V4 O20'
_symmetry_space_group_name_H-M 'I 4/m c m'
_symmetry_Int_Tables_number 140
_symmetry_space_group_name_Hall '-I 4 2c'
_cell_length_a 7.4215
_cell_length_b 7.4215
_cell_length_c 11.8868
_cell_angle_alpha 90.00
_cell_angle_beta 90.00
_cell_angle_gamma 90.00
loop_
_atom_site_label
_atom_site_fract_x
_atom_site_fract_y
_atom_site_fract_z
_atom_site_occupancy
Ba1 0.0000 0.0000 0.2500 1
Ba2 0.1806 0.3194 0.0000 1
V1 0.0000 0.5000 0.2500 1
O1 0.0000 0.0000 0.0000 1
O2 0.1392 0.3608 0.3414 1
```

---

(5)
MgVFeP4O14 | GGA+U | optimized geometry

## Properties
Its energy above the most stable polymorph in this dataset is 0.024 eV per atom. The value obtained for the formation energy is -2.616 eV per atom. The calculation puts the total energy after the MP2020 corrections at -165.014 eV for the cell shown. For the total energy, the calculation gives -7.211 eV per atom. The calculation puts the magnetic moment at 7.00 μB per cell.

CIF file:
```
data_MgVFeP4O14
_chemical_formula_sum 'Mg1 V1 Fe1 P4 O14'
_symmetry_space_group_name_H-M 'P 1'
_symmetry_Int_Tables_number 1
_cell_length_a 5.1086
_cell_length_b 6.9027
_cell_length_c 8.4909
_cell_angle_alpha 89.80
_cell_angle_beta 88.05
_cell_angle_gamma 74.59
loop_
_symmetry_equiv_pos_as_xyz
'x,y,z'
loop_
_atom_site_label
_atom_site_fract_x
_atom_site_fract_y
_atom_site_fract_z
_atom_site_occupancy
Mg1 0.0000 0.0000 0.0000 1
V1 0.9177 0.2060 0.6673 1
Fe1 0.3873 0.7298 0.2080 1
P1 0.3892 0.3624 0.4525 1
P2 0.5018 0.9453 0.8604 1
P3 0.7707 0.9808 0.3652 1
P4 0.8571 0.5743 0.9452 1
O1 0.0002 0.9553 0.2356 1
O2 0.0588 0.6908 0.9927 1
O3 0.1457 0.2875 0.5060 1
O4 0.2487 0.0020 0.7653 1
O5 0.2869 0.5485 0.3506 1
O6 0.4059 0.9494 0.0372 1
O7 0.5704 0.1981 0.3268 1
O8 0.5730 0.3866 0.5847 1
O9 0.6073 0.8269 0.3493 1
O10 0.6626 0.7200 0.8168 1
O11 0.6684 0.5432 0.0828 1
O12 0.7009 0.0785 0.8460 1
O13 0.8743 0.9816 0.5300 1
O14 0.9748 0.3764 0.8582 1
```

---

(6)
MgV4SnO12 | GGA+U | optimized geometry

## Properties
Its energy above the most stable polymorph in this dataset is 0.106 eV per atom. The value obtained for the formation energy is -2.221 eV per atom. The calculation puts the total energy after the MP2020 corrections at -282.611 eV for the cell shown. For the total energy, the calculation gives -7.015 eV per atom. The calculation puts the magnetic moment at 0.05 μB per cell.

CIF file:
```
data_MgV4SnO12
_chemical_formula_sum 'Mg2 V8 Sn2 O24'
_symmetry_space_group_name_H-M 'C 1 2 1'
_symmetry_Int_Tables_number 5
_cell_length_a 10.8230
_cell_length_b 8.9556
_cell_length_c 5.7933
_cell_angle_alpha 90.00
_cell_angle_beta 111.40
_cell_angle_gamma 90.00
loop_
_symmetry_equiv_pos_as_xyz
'x,y,z'
'-x,y,-z'
'x+1/2,y+1/2,z'
'-x+1/2,y+1/2,-z'
loop_
_atom_site_label
_atom_site_fract_x
_atom_site_fract_y
_atom_site_fract_z
_atom_site_occupancy
Mg1 0.0000 0.0000 0.0000 1
V1 0.2049 0.6561 0.9626 1
V2 0.2067 0.8606 0.4538 1
Sn1 0.0000 0.1872 0.5000 1
O1 0.1091 0.1364 0.8622 1
O2 0.1234 0.3549 0.4596 1
O3 0.1333 0.0394 0.3994 1
O4 0.1348 0.7964 0.1437 1
O5 0.1409 0.4929 0.9723 1
O6 0.1522 0.7590 0.6523 1
```

---

(7)
Cs3Mo2O6F3 | GGA+U | optimized geometry

## Properties
The value obtained for the formation energy is -2.433 eV per atom. The calculation puts the total energy after the MP2020 corrections at -187.746 eV for the cell shown. For the total energy, the calculation gives -5.854 eV per atom. The calculation puts the magnetic moment at 0.09 μB per cell.

CIF file:
```
data_Cs3Mo2O6F3
_chemical_formula_sum 'Cs6 Mo4 O12 F6'
_symmetry_space_group_name_H-M 'P 63/m m c'
_symmetry_Int_Tables_number 194
_symmetry_space_group_name_Hall '-P 6c 2c'
_cell_length_a 6.5184
_cell_length_b 6.5184
_cell_length_c 15.7861
_cell_angle_alpha 90.00
_cell_angle_beta 90.00
_cell_angle_gamma 120.00
loop_
_atom_site_label
_atom_site_fract_x
_atom_site_fract_y
_atom_site_fract_z
_atom_site_occupancy
Cs1 0.3333 0.6667 0.0594 1
Cs2 0.3333 0.6667 0.7500 1
Mo1 0.0000 0.0000 0.1425 1
O1 0.1436 0.2872 0.5977 1
F1 0.1281 0.2562 0.2500 1
```

---

(8)
Na3MoO3F3 | GGA+U | optimized geometry

## Properties
As for the maximum piezoelectric response: 0.57 C/m². The value obtained for the formation energy is -2.567 eV per atom. The calculation puts the total energy after the MP2020 corrections at -183.222 eV for the cell shown. For the total energy, the calculation gives -5.442 eV per atom.

CIF file:
```
data_Na3MoO3F3
_chemical_formula_sum 'Na9 Mo3 O9 F9'
_symmetry_space_group_name_H-M 'R 3'
_symmetry_Int_Tables_number 146
_symmetry_space_group_name_Hall 'R 3'
_cell_length_a 5.6940
_cell_length_b 5.6940
_cell_length_c 14.8886
_cell_angle_alpha 90.00
_cell_angle_beta 90.00
_cell_angle_gamma 120.00
loop_
_atom_site_label
_atom_site_fract_x
_atom_site_fract_y
_atom_site_fract_z
_atom_site_occupancy
Na1 0.0000 0.0000 0.0000 1
Na2 0.0000 0.0000 0.2188 1
Na3 0.0000 0.0000 0.7173 1
Mo1 0.0000 0.0000 0.4919 1
O1 0.0738 0.3643 0.1073 1
F1 0.0239 0.7453 0.5945 1
```